# 1
Hf2N2O r2SCAN optimized geometry; final energy = -1018.67 eV/cell; ΔH_f (0 K) = -2.56 eV per atom
1.0
8.630 -0.001 0.000
-2.856 8.196 0.000
-2.882 -4.095 7.096
N Hf O
16 16 8
direct
0.728 0.985 0.953
0.547 0.539 0.774
0.262 0.772 0.728
0.223 0.450 0.460
0.271 0.733 0.222
0.777 0.549 0.538
0.776 0.726 0.256
0.274 0.013 0.048
0.987 0.959 0.731
0.467 0.227 0.456
0.756 0.031 0.486
0.237 0.964 0.511
0.454 0.465 0.227
0.741 0.229 0.271
0.225 0.275 0.741
0.732 0.269 0.783
0.712 0.473 0.261
0.044 0.762 0.785
0.462 0.248 0.709
0.747 0.283 0.534
0.500 0.490 0.497
0.287 0.528 0.737
0.248 0.714 0.464
0.537 0.751 0.285
0.226 0.966 0.257
0.000 0.501 0.998
0.957 0.244 0.216
0.999 0.999 0.509
0.745 0.780 0.030
0.499 0.001 0.000
0.781 0.036 0.749
0.252 0.216 0.966
0.955 0.725 0.991
0.046 0.278 0.012
0.492 0.766 0.038
0.508 0.234 0.963
0.965 0.507 0.231
0.013 0.044 0.267
0.038 0.494 0.772
0.531 0.775 0.545

=====

# 2
Hf2N2O r2SCAN optimized geometry; final energy = -1018.99 eV/cell; ΔH_f (0 K) = -2.57 eV per atom
1.0
-1.608 -4.354 -7.304
8.208 2.783 -0.052
-1.218 -5.251 6.792
Hf N O
16 16 8
direct
0.789 0.531 0.247
0.509 0.004 0.000
0.221 0.472 0.757
0.711 0.967 0.746
0.469 0.758 0.219
0.744 0.285 0.535
0.745 0.782 0.032
0.251 0.214 0.966
0.010 0.004 0.520
0.029 0.249 0.274
0.963 0.742 0.704
0.532 0.249 0.788
0.253 0.716 0.466
0.294 0.045 0.260
0.501 0.494 0.489
0.982 0.490 0.987
0.774 0.227 0.762
0.018 0.549 0.776
0.765 0.539 0.991
0.450 0.963 0.728
0.776 0.042 0.033
0.993 0.456 0.229
0.268 0.242 0.728
0.966 0.007 0.740
0.727 0.493 0.457
0.468 0.722 0.954
0.485 0.261 0.533
0.045 0.775 0.509
0.533 0.272 0.049
0.509 0.735 0.461
0.258 0.271 0.227
0.544 0.032 0.274
0.733 0.722 0.771
0.227 0.955 0.968
0.271 0.513 0.549
0.035 0.983 0.264
0.240 0.469 0.017
0.731 0.771 0.275
0.227 0.774 0.237
0.954 0.226 0.480

=====

# 3
Hf2N2O r2SCAN optimized geometry; final energy = -1019.07 eV/cell; ΔH_f (0 K) = -2.57 eV per atom
1.0
-3.081 7.335 -3.410
-4.636 -6.708 -2.929
-0.599 0.365 8.653
Hf N O
16 16 8
direct
0.748 0.966 0.708
0.744 0.465 0.215
0.719 0.751 0.969
0.027 0.780 0.749
0.512 0.499 0.501
0.964 0.214 0.258
0.292 0.248 0.035
0.000 0.997 0.490
0.245 0.535 0.785
0.470 0.721 0.247
0.253 0.029 0.286
0.212 0.757 0.464
0.539 0.282 0.750
0.500 0.008 0.011
0.991 0.503 0.995
0.786 0.250 0.536
0.996 0.538 0.767
0.484 0.224 0.952
0.773 0.547 0.012
0.508 0.767 0.039
0.053 0.275 0.536
0.764 0.227 0.779
0.534 0.265 0.488
0.958 0.725 0.469
0.770 0.730 0.737
0.726 0.963 0.457
0.539 0.510 0.272
0.240 0.768 0.229
0.273 0.032 0.547
0.966 0.959 0.226
0.728 0.236 0.269
0.258 0.990 0.031
0.464 0.739 0.521
0.736 0.012 0.964
0.014 0.462 0.236
0.033 0.053 0.776
0.279 0.759 0.725
0.227 0.281 0.265
0.222 0.445 0.980
0.453 0.489 0.723

=====

# 4
Hf2N2O r2SCAN optimized geometry; final energy = -1018.92 eV/cell; ΔH_f (0 K) = -2.57 eV per atom
1.0
-4.741 5.197 -5.039
2.113 -7.155 -4.422
-4.597 -2.213 7.019
N O Hf
16 8 16
direct
0.963 0.226 0.950
0.987 0.759 0.532
0.465 0.514 0.734
0.232 0.266 0.274
0.004 0.233 0.461
0.230 0.990 0.454
0.276 0.546 0.036
0.511 0.044 0.775
0.262 0.033 0.984
0.031 0.773 0.044
0.740 0.964 0.015
0.239 0.226 0.770
0.728 0.456 0.974
0.951 0.466 0.725
0.452 0.724 0.484
0.496 0.962 0.234
0.775 0.011 0.547
0.725 0.276 0.238
0.043 0.528 0.276
0.755 0.769 0.228
0.772 0.737 0.726
0.543 0.489 0.266
0.275 0.729 0.767
0.551 0.279 0.512
0.759 0.214 0.468
0.787 0.536 0.252
0.280 0.030 0.241
0.997 0.500 0.989
0.214 0.457 0.749
0.970 0.242 0.211
0.242 0.282 0.030
0.017 0.006 0.507
0.488 0.499 0.500
0.749 0.713 0.966
0.497 0.999 0.001
0.256 0.796 0.536
0.713 0.970 0.760
0.467 0.253 0.720
0.036 0.752 0.785
0.523 0.750 0.281

=====

# 5
Hf2N2O r2SCAN optimized geometry; final energy = -1019.07 eV/cell; ΔH_f (0 K) = -2.57 eV per atom
1.0
8.658 0.002 0.000
-2.862 8.189 0.001
-2.888 -4.091 7.083
N O Hf
16 8 16
direct
0.954 0.728 0.490
0.036 0.488 0.262
0.723 0.981 0.449
0.467 0.227 0.956
0.771 0.551 0.034
0.771 0.727 0.758
0.046 0.276 0.513
0.540 0.531 0.274
0.511 0.242 0.467
0.743 0.230 0.772
0.757 0.032 0.989
0.272 0.734 0.727
0.235 0.962 0.014
0.275 0.012 0.546
0.225 0.456 0.966
0.992 0.958 0.228
0.224 0.272 0.233
0.727 0.264 0.277
0.454 0.469 0.729
0.532 0.771 0.042
0.267 0.772 0.230
0.014 0.050 0.776
0.965 0.514 0.740
0.483 0.762 0.534
0.713 0.469 0.752
0.245 0.205 0.464
0.502 0.490 0.008
0.032 0.749 0.289
0.250 0.715 0.959
0.281 0.533 0.241
0.511 0.018 0.508
0.219 0.962 0.751
0.541 0.759 0.789
0.966 0.249 0.714
0.009 0.505 0.495
0.796 0.040 0.259
0.461 0.246 0.213
0.748 0.778 0.526
0.751 0.287 0.028
0.990 0.988 0.997

=====

# 6
Hf2N2O r2SCAN optimized geometry; final energy = -1018.96 eV/cell; ΔH_f (0 K) = -2.57 eV per atom
1.0
8.665 -0.001 0.000
-2.849 8.183 0.002
-2.903 -4.070 7.085
Hf O N
16 8 16
direct
0.530 0.750 0.280
0.788 0.536 0.243
0.031 0.744 0.789
0.256 0.787 0.531
0.008 0.006 0.496
0.489 0.491 0.501
0.213 0.456 0.750
0.001 0.511 0.003
0.289 0.036 0.255
0.466 0.251 0.716
0.747 0.715 0.973
0.974 0.250 0.220
0.748 0.216 0.467
0.705 0.964 0.749
0.508 0.998 0.001
0.251 0.291 0.033
0.778 0.020 0.555
0.774 0.737 0.720
0.264 0.033 0.986
0.990 0.764 0.541
0.965 0.223 0.945
0.536 0.480 0.259
0.717 0.272 0.235
0.272 0.734 0.766
0.042 0.530 0.275
0.005 0.234 0.461
0.547 0.276 0.514
0.223 0.982 0.450
0.032 0.774 0.042
0.461 0.730 0.489
0.512 0.045 0.775
0.956 0.470 0.727
0.234 0.222 0.771
0.760 0.770 0.233
0.741 0.969 0.010
0.228 0.262 0.266
0.273 0.542 0.038
0.727 0.452 0.968
0.464 0.519 0.738
0.493 0.957 0.227

=====

# 7
Hf2N2O r2SCAN optimized geometry; final energy = -1019.12 eV/cell; ΔH_f (0 K) = -2.57 eV per atom
1.0
-1.978 -0.805 8.385
4.088 -7.154 -2.688
5.192 6.861 -1.081
N Hf O
16 16 8
direct
0.030 0.772 0.048
0.768 0.739 0.726
0.225 0.988 0.457
0.261 0.037 0.988
0.489 0.955 0.225
0.013 0.238 0.463
0.043 0.534 0.275
0.951 0.464 0.728
0.274 0.544 0.032
0.519 0.049 0.776
0.970 0.226 0.960
0.539 0.487 0.268
0.772 0.010 0.546
0.274 0.726 0.759
0.765 0.773 0.228
0.544 0.275 0.512
0.459 0.235 0.702
0.538 0.751 0.282
0.011 0.501 0.001
0.749 0.210 0.466
0.288 0.031 0.249
0.513 0.501 0.502
0.967 0.258 0.217
0.206 0.470 0.748
0.253 0.287 0.037
0.483 0.991 0.990
0.724 0.974 0.753
0.754 0.717 0.967
0.786 0.542 0.251
0.995 0.004 0.491
0.031 0.750 0.792
0.250 0.785 0.534
0.466 0.508 0.741
0.230 0.270 0.277
0.986 0.760 0.535
0.739 0.965 0.017
0.240 0.229 0.773
0.727 0.269 0.231
0.449 0.722 0.485
0.721 0.456 0.967

=====

# 8
Hf2N2O r2SCAN optimized geometry; final energy = -1018.91 eV/cell; ΔH_f (0 K) = -2.57 eV per atom
1.0
-4.745 0.446 7.179
4.411 -7.485 -0.042
5.564 6.675 -0.193
O N Hf
8 16 16
direct
0.491 0.764 0.037
0.049 0.277 0.013
0.507 0.231 0.961
0.272 0.735 0.214
0.040 0.494 0.772
0.767 0.725 0.255
0.955 0.722 0.991
0.223 0.447 0.466
0.525 0.769 0.539
0.013 0.045 0.272
0.732 0.267 0.780
0.468 0.230 0.456
0.242 0.965 0.511
0.548 0.541 0.775
0.777 0.547 0.536
0.735 0.226 0.269
0.226 0.276 0.740
0.261 0.766 0.728
0.757 0.030 0.482
0.455 0.465 0.224
0.968 0.514 0.237
0.987 0.955 0.728
0.728 0.987 0.954
0.273 0.011 0.046
0.510 0.503 0.500
0.534 0.749 0.291
0.989 0.491 0.001
0.007 0.011 0.510
0.247 0.721 0.472
0.953 0.239 0.210
0.774 0.025 0.737
0.748 0.283 0.535
0.221 0.976 0.260
0.292 0.532 0.748
0.466 0.252 0.708
0.498 0.000 0.999
0.250 0.213 0.965
0.042 0.760 0.786
0.752 0.790 0.033
0.719 0.464 0.259

=====

# 9
Hf2N2O r2SCAN optimized geometry; final energy = -1018.90 eV/cell; ΔH_f (0 K) = -2.57 eV per atom
1.0
-4.919 -5.221 4.853
7.930 0.541 3.460
-3.569 7.902 -0.266
Hf N O
16 16 8
direct
0.502 0.000 0.001
0.253 0.035 0.286
0.000 0.999 0.489
0.512 0.500 0.501
0.476 0.720 0.251
0.984 0.493 0.995
0.788 0.250 0.542
0.535 0.282 0.748
0.964 0.216 0.250
0.719 0.759 0.970
0.748 0.966 0.715
0.294 0.246 0.035
0.207 0.749 0.466
0.026 0.780 0.752
0.752 0.471 0.213
0.241 0.531 0.785
0.772 0.547 0.011
0.726 0.963 0.457
0.504 0.766 0.040
0.048 0.274 0.534
0.769 0.729 0.735
0.997 0.539 0.768
0.737 0.016 0.967
0.762 0.229 0.774
0.956 0.728 0.473
0.014 0.466 0.239
0.969 0.956 0.226
0.274 0.030 0.543
0.487 0.225 0.954
0.536 0.266 0.485
0.540 0.511 0.272
0.259 0.987 0.033
0.725 0.234 0.271
0.245 0.772 0.231
0.280 0.761 0.725
0.035 0.055 0.779
0.222 0.447 0.984
0.461 0.739 0.515
0.451 0.489 0.722
0.228 0.274 0.265

=====

What is the final energy in the ninth record? -1018.90 eV/cell